(1)
# YbClF

A relaxed YbClF crystal (r²SCAN, the Materials Project).

## Properties
The crystal system is tetragonal. The calculation puts the size of the total moment at 0.00 μB/cell. The energy of formation from the pure elements comes out at -2.67 eV/atom. For the density, the calculation gives 7.2 g cm⁻³.

Cell lengths 3.4479, 3.4479, 8.7874 Å; angles 90.00, 90.00, 90.00 degrees
With the nearest neighbours (Å) after each atom.
Space group P4/nmm (No. 129, origin choice 2)
One atom of each set of equivalent atoms:
1 Yb 0.2500 0.2500 0.1837 [2 per cell]  4 F 2.36
2 Cl 0.2500 0.2500 0.6777 [2 per cell]  4 Yb 2.73
3 F 0.2500 0.7500 0.0000 [2 per cell]  4 Yb 2.36, 4 F 2.44

(2)
# BeAlRh2

A relaxed BeAlRh2 crystal (r²SCAN, the Materials Project).

## Properties
The crystal system is cubic. The calculation puts the size of the total moment at 0.00 μB/cell. The energy of formation from the pure elements comes out at -0.94 eV/atom. For the density, the calculation gives 8.4 g cm⁻³.

Cell lengths 5.7675, 5.7675, 5.7675 Å; angles 90.00, 90.00, 90.00 degrees
With the nearest neighbours (Å) after each atom.
Space group Fm-3m (No. 225)
One atom of each set of equivalent atoms:
1 Be 0.0000 0.0000 0.0000 [4 per cell]  8 Rh 2.50
2 Al 0.0000 0.0000 0.5000 [4 per cell]  8 Rh 2.50
3 Rh 0.2500 0.2500 0.2500 [8 per cell]  4 Be 2.50, 4 Al 2.50

(3)
# Rb2UTe3

A relaxed Rb2UTe3 crystal (r²SCAN, the Materials Project).

## Properties
The crystal system is monoclinic. The calculation puts the size of the total moment at 8.00 μB/cell. The energy of formation from the pure elements comes out at -1.24 eV/atom. For the density, the calculation gives 5.3 g cm⁻³.

Cell lengths 8.1361, 14.1001, 9.0541 Å; angles 90.00, 107.73, 90.00 degrees
With the nearest neighbours (Å) after each atom.
Space group C2/m (No. 12)
One atom of each set of equivalent atoms:
1 Rb 0.0000 0.0000 0.0000 [2 per cell]  6 Te 3.54-3.58
2 Rb 0.0000 0.1525 0.5000 [4 per cell]  6 Te 3.54-3.89
3 Rb 0.0000 0.5000 0.5000 [2 per cell]  6 Te 3.48-3.84
4 U 0.0000 0.3321 0.0000 [4 per cell]  6 Te 3.11
5 Te 0.1913 0.5000 0.2044 [4 per cell]  2 U 3.11, 1 Rb 3.48
6 Te 0.2387 0.3099 0.7910 [8 per cell]  2 U 3.11

(4)
# Sm3Ho

A relaxed Sm3Ho crystal (r²SCAN, the Materials Project).

## Properties
The crystal system is cubic. The calculation puts the size of the total moment at 0.00 μB/cell. The energy of formation from the pure elements comes out at 0.03 eV/atom. For the density, the calculation gives 7.7 g cm⁻³.

Cell lengths 5.0992, 5.0992, 5.0992 Å; angles 90.00, 90.00, 90.00 degrees
With the nearest neighbours (Å) after each atom.
Space group Pm-3m (No. 221)
One atom of each set of equivalent atoms:
1 Sm 0.0000 0.0000 0.5000 [3 per cell]  4 Ho 3.61, 8 Sm 3.61
2 Ho 0.5000 0.5000 0.5000 [1 per cell]  12 Sm 3.61

(5)
# CaSc2S4

A relaxed CaSc2S4 crystal (r²SCAN, the Materials Project).

## Properties
The crystal system is orthorhombic. The calculation puts the size of the total moment at 0.00 μB/cell. The energy of formation from the pure elements comes out at -2.25 eV/atom. For the density, the calculation gives 2.9 g cm⁻³.

Cell lengths 11.5454, 3.7421, 13.5106 Å; angles 90.00, 90.00, 90.00 degrees
With the nearest neighbours (Å) after each atom.
Space group Pnma (No. 62)
One atom of each set of equivalent atoms:
1 Ca 0.2397 0.2500 0.1671 [4 per cell]  8 S 2.92-3.21
2 Sc 0.0577 0.2500 0.3881 [4 per cell]  6 S 2.56-2.62
3 Sc 0.0853 0.2500 0.9033 [4 per cell]  6 S 2.53-2.64
4 S 0.0326 0.7500 0.7851 [4 per cell]  3 Sc 2.53-2.56
5 S 0.0914 0.2500 0.5750 [4 per cell]  3 Sc 2.56-2.59
6 S 0.1256 0.7500 0.0327 [4 per cell]  3 Sc 2.58-2.60
7 S 0.2023 0.7500 0.3308 [4 per cell]  3 Sc 2.62-2.64, 2 Ca 2.93

(6)
# ErAl3Ni2

A relaxed ErAl3Ni2 crystal (r²SCAN, the Materials Project).

## Properties
The crystal system is hexagonal. The calculation puts the size of the total moment at 0.00 μB/cell. The energy of formation from the pure elements comes out at -0.70 eV/atom. For the density, the calculation gives 6.6 g cm⁻³.

Cell lengths 8.9120, 8.9120, 4.0310 Å; angles 90.00, 90.00, 120.00 degrees
With the nearest neighbours (Å) after each atom.
Space group P6/mmm (No. 191)
One atom of each set of equivalent atoms:
1 Er 0.0000 0.0000 0.0000 [1 per cell]  6 Ni 2.79
2 Er 0.3333 0.6667 0.5000 [2 per cell]  6 Ni 3.10, 12 Al 3.14-3.27
3 Al 0.0000 0.2973 0.5000 [6 per cell]  4 Ni 2.46, 4 Al 2.65-2.71
4 Al 0.0000 0.5000 0.0000 [3 per cell]  4 Ni 2.47, 4 Al 2.71
5 Ni 0.1810 0.3619 0.0000 [6 per cell]  6 Al 2.46-2.47

(7)
# MnO2

A relaxed MnO2 crystal (r²SCAN, the Materials Project).

## Properties
The crystal system is triclinic. The calculation puts the size of the total moment at 12.00 μB/cell. The energy of formation from the pure elements comes out at -2.02 eV/atom. For the density, the calculation gives 4.3 g cm⁻³.

Cell lengths 2.8547, 7.0153, 7.0195 Å; angles 87.68, 78.27, 78.27 degrees
With the nearest neighbours (Å) after each atom.
Space group P-1 (No. 2)
One atom of each set of equivalent atoms:
1 Mn 0.1516 0.0159 0.1805 [2 per cell]  6 O 1.88-1.91
2 Mn 0.3316 0.3194 0.5163 [2 per cell]  6 O 1.88-1.91
3 O 0.0427 0.7939 0.6212 [2 per cell]  3 Mn 1.88-1.89
4 O 0.2970 0.5475 0.3585 [2 per cell]  3 Mn 1.90-1.91
5 O 0.3356 0.1219 0.7067 [2 per cell]  3 Mn 1.88-1.89
6 O 0.3446 0.8586 0.9521 [2 per cell]  3 Mn 1.90-1.91

(8)
# Nb4FeS8

A relaxed Nb4FeS8 crystal (r²SCAN, the Materials Project).

## Properties
The crystal system is hexagonal. The calculation puts the size of the total moment at 8.15 μB/cell. The energy of formation from the pure elements comes out at -1.16 eV/atom. For the density, the calculation gives 4.8 g cm⁻³.

Cell lengths 6.7299, 6.7299, 12.1153 Å; angles 90.00, 90.00, 120.00 degrees
With the nearest neighbours (Å) after each atom.
Space group P6_3/mmc (No. 194)
One atom of each set of equivalent atoms:
1 Nb 0.0000 0.0000 0.2500 [2 per cell]  6 S 2.50
2 Nb 0.0140 0.5070 0.2500 [6 per cell]  6 S 2.46-2.52
3 Fe 0.0000 0.0000 0.0000 [2 per cell]  6 S 2.45
4 S 0.1679 0.3358 0.6215 [12 per cell]  1 Fe 2.45, 3 Nb 2.50-2.52
5 S 0.3333 0.6667 0.1177 [4 per cell]  3 Nb 2.46

Which formula does entry 4 have?
Sm3Ho

What did the first record say?
# YbClF

A relaxed YbClF crystal (r²SCAN, the Materials Project).

## Properties
The crystal system is tetragonal. The calculation puts the size of the total moment at 0.00 μB/cell. The energy of formation from the pure elements comes out at -2.67 eV/atom. For the density, the calculation gives 7.2 g cm⁻³.

Cell lengths 3.4479, 3.4479, 8.7874 Å; angles 90.00, 90.00, 90.00 degrees
With the nearest neighbours (Å) after each atom.
Space group P4/nmm (No. 129, origin choice 2)
One atom of each set of equivalent atoms:
1 Yb 0.2500 0.2500 0.1837 [2 per cell]  4 F 2.36
2 Cl 0.2500 0.2500 0.6777 [2 per cell]  4 Yb 2.73
3 F 0.2500 0.7500 0.0000 [2 per cell]  4 Yb 2.36, 4 F 2.44

Among the records above, which one has the highest size of the total moment?
MnO2